# 1
Below is a geometry-optimized TmCO4 structure, with properties calculated at the PBE-GGA level.

abc: 9.464 9.464 7.833
angles: 90.00 90.00 90.00
Fractional coordinates of all 48 atoms:
Tm (0.020, 0.520, 0.250)
Tm (0.020, 0.980, 0.250)
Tm (0.480, 0.520, 0.250)
Tm (0.480, 0.980, 0.250)
Tm (0.520, 0.020, 0.750)
Tm (0.520, 0.480, 0.750)
Tm (0.980, 0.020, 0.750)
Tm (0.980, 0.480, 0.750)
C (0.001, 0.250, 0.092)
C (0.250, 0.001, 0.592)
C (0.250, 0.499, 0.592)
C (0.499, 0.250, 0.092)
C (0.501, 0.750, 0.908)
C (0.750, 0.501, 0.408)
C (0.750, 0.999, 0.408)
C (0.999, 0.750, 0.908)
O (0.005, 0.630, 0.987)
O (0.005, 0.870, 0.987)
O (0.008, 0.750, 0.292)
O (0.012, 0.250, 0.256)
O (0.130, 0.505, 0.513)
O (0.130, 0.995, 0.513)
O (0.250, 0.012, 0.756)
O (0.250, 0.488, 0.756)
O (0.250, 0.508, 0.208)
O (0.250, 0.992, 0.208)
O (0.370, 0.505, 0.513)
O (0.370, 0.995, 0.513)
O (0.488, 0.250, 0.256)
O (0.492, 0.750, 0.292)
O (0.495, 0.630, 0.987)
O (0.495, 0.870, 0.987)
O (0.505, 0.130, 0.013)
O (0.505, 0.370, 0.013)
O (0.508, 0.250, 0.708)
O (0.512, 0.750, 0.744)
O (0.630, 0.005, 0.487)
O (0.630, 0.495, 0.487)
O (0.750, 0.008, 0.792)
O (0.750, 0.492, 0.792)
O (0.750, 0.512, 0.244)
O (0.750, 0.988, 0.244)
O (0.870, 0.005, 0.487)
O (0.870, 0.495, 0.487)
O (0.988, 0.750, 0.744)
O (0.992, 0.250, 0.708)
O (0.995, 0.130, 0.013)
O (0.995, 0.370, 0.013)

Computed properties:
ΔE_f (eV per atom): -2.5425
Magnetization (μB per formula unit): 1.000

***

# 2
Below is a geometry-optimized TmCO4 structure, with properties calculated at the PBE-GGA level.

abc: 4.808 7.006 8.745
angles: 90.00 90.00 90.00
Fractional coordinates of all 24 atoms:
Tm (0.026, 0.127, 0.161)
Tm (0.474, 0.873, 0.661)
Tm (0.526, 0.373, 0.839)
Tm (0.974, 0.627, 0.339)
C (0.008, 0.045, 0.830)
C (0.492, 0.955, 0.330)
C (0.508, 0.455, 0.170)
C (0.992, 0.545, 0.670)
O (0.030, 0.814, 0.143)
O (0.046, 0.445, 0.788)
O (0.180, 0.618, 0.581)
O (0.231, 0.929, 0.368)
O (0.269, 0.071, 0.868)
O (0.320, 0.382, 0.081)
O (0.454, 0.555, 0.288)
O (0.470, 0.186, 0.643)
O (0.530, 0.686, 0.857)
O (0.546, 0.055, 0.212)
O (0.680, 0.882, 0.419)
O (0.731, 0.571, 0.632)
O (0.769, 0.429, 0.132)
O (0.820, 0.118, 0.919)
O (0.954, 0.945, 0.712)
O (0.970, 0.314, 0.357)

Computed properties:
ΔE_f (eV per atom): -2.4933
Magnetization (μB per formula unit): 1.000

***

# 3
Below is a geometry-optimized UC2O7 structure, with properties calculated at the PBE-GGA level.

abc: 13.269 7.000 11.939
angles: 84.68 31.69 63.63
Fractional coordinates of all 20 atoms:
U (0.000, 0.000, 0.000)
U (0.250, 0.250, 0.250)
C (0.070, 0.379, 0.730)
C (0.379, 0.070, 0.820)
C (0.430, 0.520, 0.871)
C (0.520, 0.430, 0.180)
O (0.010, 0.394, 0.880)
O (0.103, 0.103, 0.397)
O (0.133, 0.359, 0.578)
O (0.227, 0.806, 0.677)
O (0.320, 0.672, 0.891)
O (0.359, 0.133, 0.930)
O (0.370, 0.534, 0.240)
O (0.394, 0.010, 0.716)
O (0.534, 0.370, 0.856)
O (0.573, 0.959, 0.023)
O (0.672, 0.320, 0.117)
O (0.806, 0.227, 0.291)
O (0.853, 0.853, 0.147)
O (0.959, 0.573, 0.444)

Computed properties:
ΔE_f (eV per atom): -2.2132
Magnetization (μB per formula unit): 0.002

***

# 4
Below is a geometry-optimized UC2O9 structure, with properties calculated at the PBE-GGA level.

abc: 5.941 14.612 9.630
angles: 90.00 98.63 90.00
Fractional coordinates of all 48 atoms:
U (0.160, 0.067, 0.278)
U (0.160, 0.433, 0.778)
U (0.840, 0.567, 0.222)
U (0.840, 0.933, 0.722)
C (0.109, 0.638, 0.947)
C (0.109, 0.862, 0.447)
C (0.499, 0.095, 0.937)
C (0.499, 0.405, 0.437)
C (0.501, 0.595, 0.563)
C (0.501, 0.905, 0.063)
C (0.891, 0.138, 0.553)
C (0.891, 0.362, 0.053)
O (0.009, 0.626, 0.061)
O (0.009, 0.874, 0.561)
O (0.093, 0.560, 0.353)
O (0.093, 0.940, 0.853)
O (0.099, 0.565, 0.864)
O (0.099, 0.935, 0.364)
O (0.198, 0.711, 0.922)
O (0.198, 0.789, 0.422)
O (0.277, 0.248, 0.713)
O (0.277, 0.252, 0.213)
O (0.388, 0.131, 0.011)
O (0.388, 0.369, 0.511)
O (0.395, 0.557, 0.640)
O (0.395, 0.943, 0.140)
O (0.436, 0.082, 0.381)
O (0.436, 0.418, 0.881)
O (0.484, 0.235, 0.744)
O (0.484, 0.265, 0.244)
O (0.516, 0.735, 0.756)
O (0.516, 0.765, 0.256)
O (0.564, 0.582, 0.119)
O (0.564, 0.918, 0.619)
O (0.605, 0.057, 0.860)
O (0.605, 0.443, 0.360)
O (0.612, 0.631, 0.489)
O (0.612, 0.869, 0.989)
O (0.723, 0.748, 0.787)
O (0.723, 0.752, 0.287)
O (0.802, 0.211, 0.578)
O (0.802, 0.289, 0.078)
O (0.901, 0.065, 0.636)
O (0.901, 0.435, 0.136)
O (0.907, 0.060, 0.147)
O (0.907, 0.440, 0.647)
O (0.991, 0.126, 0.439)
O (0.991, 0.374, 0.939)

Computed properties:
ΔE_f (eV per atom): -1.6433
Magnetization (μB per formula unit): 2.002

***

# 5
Below is a geometry-optimized UCO6 structure, with properties calculated at the PBE-GGA level.

abc: 8.078 8.078 10.707
angles: 92.75 92.75 63.29
Fractional coordinates of all 32 atoms:
U (0.201, 0.292, 0.253)
U (0.292, 0.201, 0.753)
U (0.708, 0.799, 0.247)
U (0.799, 0.708, 0.747)
C (0.294, 0.658, 0.542)
C (0.342, 0.706, 0.958)
C (0.658, 0.294, 0.042)
C (0.706, 0.342, 0.458)
O (0.043, 0.481, 0.724)
O (0.114, 0.134, 0.181)
O (0.134, 0.114, 0.681)
O (0.168, 0.221, 0.896)
O (0.207, 0.602, 0.478)
O (0.221, 0.168, 0.396)
O (0.276, 0.449, 0.184)
O (0.287, 0.618, 0.894)
O (0.382, 0.713, 0.606)
O (0.398, 0.793, 0.022)
O (0.449, 0.276, 0.684)
O (0.481, 0.043, 0.224)
O (0.519, 0.957, 0.776)
O (0.551, 0.724, 0.316)
O (0.602, 0.207, 0.978)
O (0.618, 0.287, 0.394)
O (0.713, 0.382, 0.106)
O (0.724, 0.551, 0.816)
O (0.779, 0.832, 0.604)
O (0.793, 0.398, 0.522)
O (0.832, 0.779, 0.104)
O (0.866, 0.886, 0.319)
O (0.886, 0.866, 0.819)
O (0.957, 0.519, 0.276)

Computed properties:
ΔE_f (eV per atom): -2.1756
Magnetization (μB per formula unit): 0.000

***

# 6
Below is a geometry-optimized UCO5 structure, with properties calculated at the PBE-GGA level.

abc: 5.826 5.826 5.826
angles: 130.36 68.33 136.18
Fractional coordinates of all 7 atoms:
U (0.000, 0.000, 0.000)
C (0.613, 0.113, 0.500)
O (0.183, 0.997, 0.186)
O (0.484, 0.219, 0.736)
O (0.484, 0.748, 0.264)
O (0.812, 0.997, 0.814)
O (0.913, 0.413, 0.500)

Computed properties:
ΔE_f (eV per atom): -2.8220
Largest piezoelectric modulus (C/m2): 0.52

***

# 7
Below is a geometry-optimized UC2O9 structure, with properties calculated at the PBE-GGA level.

abc: 5.670 16.355 9.859
angles: 90.00 101.02 90.00
Fractional coordinates of all 48 atoms:
U (0.192, 0.086, 0.256)
U (0.192, 0.414, 0.756)
U (0.808, 0.586, 0.244)
U (0.808, 0.914, 0.744)
C (0.031, 0.542, 0.975)
C (0.031, 0.958, 0.475)
C (0.494, 0.083, 0.926)
C (0.494, 0.417, 0.426)
C (0.506, 0.583, 0.574)
C (0.506, 0.917, 0.074)
C (0.969, 0.042, 0.525)
C (0.969, 0.458, 0.025)
O (0.027, 0.103, 0.458)
O (0.027, 0.397, 0.958)
O (0.093, 0.560, 0.359)
O (0.093, 0.940, 0.859)
O (0.132, 0.544, 0.871)
O (0.132, 0.956, 0.371)
O (0.175, 0.202, 0.215)
O (0.175, 0.298, 0.715)
O (0.247, 0.734, 0.899)
O (0.247, 0.766, 0.399)
O (0.368, 0.721, 0.810)
O (0.368, 0.779, 0.310)
O (0.393, 0.113, 0.006)
O (0.393, 0.387, 0.506)
O (0.407, 0.552, 0.656)
O (0.407, 0.948, 0.156)
O (0.495, 0.095, 0.358)
O (0.495, 0.405, 0.858)
O (0.505, 0.595, 0.142)
O (0.505, 0.905, 0.642)
O (0.593, 0.052, 0.844)
O (0.593, 0.448, 0.344)
O (0.607, 0.613, 0.494)
O (0.607, 0.887, 0.994)
O (0.632, 0.221, 0.690)
O (0.632, 0.279, 0.190)
O (0.753, 0.234, 0.601)
O (0.753, 0.266, 0.101)
O (0.825, 0.702, 0.285)
O (0.825, 0.798, 0.785)
O (0.868, 0.044, 0.629)
O (0.868, 0.456, 0.129)
O (0.907, 0.060, 0.141)
O (0.907, 0.440, 0.641)
O (0.973, 0.603, 0.042)
O (0.973, 0.897, 0.542)

Computed properties:
ΔE_f (eV per atom): -1.5122
Magnetization (μB per formula unit): 1.000

***

# 8
Below is a geometry-optimized U3C6O16 structure, with properties calculated at the PBE-GGA level.

abc: 14.999 14.999 14.999
angles: 109.47 109.47 109.47
Fractional coordinates of all 100 atoms:
U (0.005, 0.386, 0.854)
U (0.146, 0.532, 0.151)
U (0.151, 0.146, 0.532)
U (0.381, 0.995, 0.849)
U (0.386, 0.854, 0.005)
U (0.468, 0.614, 0.619)
U (0.532, 0.151, 0.146)
U (0.614, 0.619, 0.468)
U (0.619, 0.468, 0.614)
U (0.849, 0.381, 0.995)
U (0.854, 0.005, 0.386)
U (0.995, 0.849, 0.381)
C (0.169, 0.734, 0.441)
C (0.208, 0.441, 0.773)
C (0.227, 0.668, 0.435)
C (0.233, 0.792, 0.565)
C (0.266, 0.435, 0.708)
C (0.273, 0.565, 0.831)
C (0.292, 0.727, 0.559)
C (0.332, 0.559, 0.767)
C (0.435, 0.227, 0.668)
C (0.435, 0.708, 0.266)
C (0.441, 0.169, 0.734)
C (0.441, 0.773, 0.208)
C (0.559, 0.292, 0.727)
C (0.559, 0.767, 0.332)
C (0.565, 0.233, 0.792)
C (0.565, 0.831, 0.273)
C (0.668, 0.435, 0.227)
C (0.708, 0.266, 0.435)
C (0.727, 0.559, 0.292)
C (0.734, 0.441, 0.169)
C (0.767, 0.332, 0.559)
C (0.773, 0.208, 0.441)
C (0.792, 0.565, 0.233)
C (0.831, 0.273, 0.565)
O (0.000, 0.000, 0.466)
O (0.000, 0.466, 0.000)
O (0.003, 0.266, 0.859)
O (0.013, 0.171, 0.494)
O (0.017, 0.495, 0.823)
O (0.100, 0.738, 0.374)
O (0.138, 0.374, 0.776)
O (0.141, 0.407, 0.144)
O (0.144, 0.141, 0.407)
O (0.158, 0.987, 0.481)
O (0.171, 0.494, 0.013)
O (0.177, 0.672, 0.194)
O (0.194, 0.177, 0.672)
O (0.224, 0.598, 0.362)
O (0.236, 0.862, 0.638)
O (0.262, 0.362, 0.636)
O (0.263, 0.997, 0.856)
O (0.266, 0.859, 0.003)
O (0.274, 0.638, 0.900)
O (0.324, 0.829, 0.842)
O (0.328, 0.505, 0.522)
O (0.362, 0.224, 0.598)
O (0.362, 0.636, 0.262)
O (0.364, 0.726, 0.626)
O (0.374, 0.100, 0.738)
O (0.374, 0.776, 0.138)
O (0.402, 0.626, 0.764)
O (0.407, 0.144, 0.141)
O (0.466, 0.000, 0.000)
O (0.478, 0.983, 0.806)
O (0.481, 0.158, 0.987)
O (0.494, 0.013, 0.171)
O (0.495, 0.823, 0.017)
O (0.505, 0.522, 0.328)
O (0.506, 0.676, 0.519)
O (0.519, 0.506, 0.676)
O (0.522, 0.328, 0.505)
O (0.534, 0.534, 0.534)
O (0.593, 0.734, 0.737)
O (0.598, 0.362, 0.224)
O (0.626, 0.364, 0.726)
O (0.626, 0.764, 0.402)
O (0.636, 0.262, 0.362)
O (0.638, 0.236, 0.862)
O (0.638, 0.900, 0.274)
O (0.672, 0.194, 0.177)
O (0.676, 0.519, 0.506)
O (0.726, 0.626, 0.364)
O (0.734, 0.737, 0.593)
O (0.737, 0.593, 0.734)
O (0.738, 0.374, 0.100)
O (0.764, 0.402, 0.626)
O (0.776, 0.138, 0.374)
O (0.806, 0.478, 0.983)
O (0.823, 0.017, 0.495)
O (0.829, 0.842, 0.324)
O (0.842, 0.324, 0.829)
O (0.856, 0.263, 0.997)
O (0.859, 0.003, 0.266)
O (0.862, 0.638, 0.236)
O (0.900, 0.274, 0.638)
O (0.983, 0.806, 0.478)
O (0.987, 0.481, 0.158)
O (0.997, 0.856, 0.263)

Computed properties:
ΔE_f (eV per atom): -1.9117
Magnetization (μB per formula unit): 0.617

***

# 9
Below is a geometry-optimized UC4O10 structure, with properties calculated at the PBE-GGA level.

abc: 6.665 6.665 10.524
angles: 90.00 90.00 90.19
Fractional coordinates of all 30 atoms:
U (0.250, 0.750, 0.750)
U (0.750, 0.250, 0.250)
C (0.020, 0.372, 0.546)
C (0.128, 0.480, 0.046)
C (0.372, 0.020, 0.046)
C (0.480, 0.128, 0.546)
C (0.520, 0.872, 0.454)
C (0.628, 0.980, 0.954)
C (0.872, 0.520, 0.954)
C (0.980, 0.628, 0.454)
O (0.042, 0.762, 0.521)
O (0.062, 0.938, 0.750)
O (0.086, 0.401, 0.147)
O (0.099, 0.414, 0.647)
O (0.238, 0.958, 0.979)
O (0.262, 0.542, 0.979)
O (0.401, 0.086, 0.647)
O (0.414, 0.099, 0.147)
O (0.438, 0.562, 0.750)
O (0.458, 0.738, 0.521)
O (0.542, 0.262, 0.479)
O (0.562, 0.438, 0.250)
O (0.586, 0.901, 0.853)
O (0.599, 0.914, 0.353)
O (0.738, 0.458, 0.021)
O (0.762, 0.042, 0.021)
O (0.901, 0.586, 0.353)
O (0.914, 0.599, 0.853)
O (0.938, 0.062, 0.250)
O (0.958, 0.238, 0.479)

Computed properties:
ΔE_f (eV per atom): -1.8333
Magnetization (μB per formula unit): 2.000

***

Repeat the seventh record exactly.
Below is a geometry-optimized UC2O9 structure, with properties calculated at the PBE-GGA level.

abc: 5.670 16.355 9.859
angles: 90.00 101.02 90.00
Fractional coordinates of all 48 atoms:
U (0.192, 0.086, 0.256)
U (0.192, 0.414, 0.756)
U (0.808, 0.586, 0.244)
U (0.808, 0.914, 0.744)
C (0.031, 0.542, 0.975)
C (0.031, 0.958, 0.475)
C (0.494, 0.083, 0.926)
C (0.494, 0.417, 0.426)
C (0.506, 0.583, 0.574)
C (0.506, 0.917, 0.074)
C (0.969, 0.042, 0.525)
C (0.969, 0.458, 0.025)
O (0.027, 0.103, 0.458)
O (0.027, 0.397, 0.958)
O (0.093, 0.560, 0.359)
O (0.093, 0.940, 0.859)
O (0.132, 0.544, 0.871)
O (0.132, 0.956, 0.371)
O (0.175, 0.202, 0.215)
O (0.175, 0.298, 0.715)
O (0.247, 0.734, 0.899)
O (0.247, 0.766, 0.399)
O (0.368, 0.721, 0.810)
O (0.368, 0.779, 0.310)
O (0.393, 0.113, 0.006)
O (0.393, 0.387, 0.506)
O (0.407, 0.552, 0.656)
O (0.407, 0.948, 0.156)
O (0.495, 0.095, 0.358)
O (0.495, 0.405, 0.858)
O (0.505, 0.595, 0.142)
O (0.505, 0.905, 0.642)
O (0.593, 0.052, 0.844)
O (0.593, 0.448, 0.344)
O (0.607, 0.613, 0.494)
O (0.607, 0.887, 0.994)
O (0.632, 0.221, 0.690)
O (0.632, 0.279, 0.190)
O (0.753, 0.234, 0.601)
O (0.753, 0.266, 0.101)
O (0.825, 0.702, 0.285)
O (0.825, 0.798, 0.785)
O (0.868, 0.044, 0.629)
O (0.868, 0.456, 0.129)
O (0.907, 0.060, 0.141)
O (0.907, 0.440, 0.641)
O (0.973, 0.603, 0.042)
O (0.973, 0.897, 0.542)

Computed properties:
ΔE_f (eV per atom): -1.5122
Magnetization (μB per formula unit): 1.000